# 1
18
Lattice="3.8832 -4.2239 0.0000 3.8832 4.2239 0.0000 -0.7112 0.0000 5.6934" Properties=species:S:1:pos:R:3 comment="ZrCo3B2 PBE optimized geometry" final_energy_ev_per_atom=-7.773 formation_energy_ev_per_atom=-0.57 de_polymorph_mev_per_atom=0.0 vol_a3_per_cell=186.8 pbc="T T T"
Zr 0.0000 0.0000 0.0000
Zr 4.7248 0.0000 3.8128
Zr 2.3304 0.0000 1.8806
Co -0.3556 0.0000 2.8467
Co 1.9416 -2.1119 0.0000
Co 1.9416 2.1119 0.0000
Co 2.9592 -2.1013 3.9470
Co 5.2449 0.0000 1.1146
Co 2.9592 2.1013 3.9470
Co 4.0960 2.1013 1.7464
Co 1.8103 0.0000 4.5788
Co 4.0960 -2.1013 1.7464
B 3.8832 -1.0517 0.0000
B 2.1580 2.6378 2.1379
B 1.0140 -1.5861 3.5555
B 1.0140 1.5861 3.5555
B 2.1580 -2.6378 2.1379
B 3.8832 1.0517 0.0000


# 2
58
Lattice="4.0514 6.2112 0.0000 -4.0514 6.2112 0.0000 0.0000 1.0014 14.4635" Properties=species:S:1:pos:R:3 comment="Li4SnP6O18 PBE optimized geometry" magmom_total_mub_per_fu=0.00 final_energy_ev_per_atom=-6.736 corrected_energy_ev_per_atom=-7.163 formation_energy_ev_per_atom=-2.57 de_polymorph_mev_per_atom=14.3 vol_a3_per_cell=727.9 pbc="T T T"
Li 1.1675 11.1590 13.4603
Li -1.1675 10.6582 6.2286
Li 0.7932 8.8635 7.9728
Li -0.7932 8.3628 0.7411
Li 0.7932 5.0612 13.7224
Li -0.7932 4.5604 6.4907
Li 1.1675 2.7657 8.2349
Li -1.1675 2.2650 1.0031
Sn -1.0436 6.9623 10.8476
Sn 1.0436 6.4616 3.6159
P 0.4139 11.8814 8.7985
P -0.4139 11.3807 1.5668
P -1.2019 10.4642 10.7465
P 1.2019 9.9635 3.5148
P 1.5664 8.0628 12.9861
P -1.5664 7.5621 5.7544
P 1.5664 5.8618 8.7091
P -1.5664 5.3611 1.4773
P -1.2019 3.4604 10.9487
P 1.2019 2.9597 3.7170
P 0.4139 2.0432 12.8967
P -0.4139 1.5425 5.6649
O 0.1378 11.2737 10.2755
O 0.5982 10.7939 7.7846
O -0.1378 10.7730 3.0437
O -0.5982 10.2932 0.5529
O -1.1820 10.3952 12.2252
O 1.1820 9.8944 4.9934
O 1.2883 9.1920 13.9450
O -1.3197 9.2117 9.8942
O 1.6744 8.6425 11.4610
O -1.2883 8.6913 6.7133
O 1.3197 8.7110 2.6625
O -1.6744 8.1418 4.2293
O 3.0669 7.4951 13.2066
O -2.6150 7.1577 12.7186
O 0.6626 6.8720 12.9525
O -3.0669 6.9944 5.9749
O 0.6626 7.0526 8.7428
O 2.6150 6.6570 5.4868
O -2.6150 6.7669 8.9767
O -0.6626 6.3713 5.7207
O 3.0669 6.4295 8.4886
O -0.6626 6.5519 1.5110
O 2.6150 6.2662 1.7449
O -3.0669 5.9288 1.2569
O 1.6744 5.2822 10.2342
O -1.3197 4.7129 11.8010
O 1.2883 4.7327 7.7502
O -1.6744 4.7814 3.0025
O 1.3197 4.2122 4.5693
O -1.2883 4.2319 0.5185
O -1.1820 3.5295 9.4701
O 1.1820 3.0288 2.2383
O 0.5982 3.1307 13.9106
O 0.1378 2.6509 11.4198
O -0.5982 2.6300 6.6789
O -0.1378 2.1502 4.1880


# 3
4
Lattice="4.0473 0.0000 0.0000 0.0000 4.0473 0.0000 0.0000 0.0000 4.0473" Properties=species:S:1:pos:R:3 comment="LuMn3 PBE optimized geometry" magmom_total_mub_per_fu=9.80 final_energy_ev_per_atom=-7.734 formation_energy_ev_per_atom=0.27 vol_a3_per_cell=66.3 pbc="T T T"
Lu 0.0000 0.0000 0.0000
Mn 0.0000 2.0236 2.0236
Mn 2.0236 0.0000 2.0236
Mn 2.0236 2.0236 0.0000


# 4
30
Lattice="-8.2411 2.8783 -2.0191 -1.5923 -2.9558 8.3069 1.3780 5.5049 2.2229" Properties=species:S:1:pos:R:3 comment="Ba3ScCO3F7 PBE optimized geometry" magmom_total_mub_per_fu=0.00 final_energy_ev_per_atom=-6.667 corrected_energy_ev_per_atom=-7.020 formation_energy_ev_per_atom=-3.72 vol_a3_per_cell=483.6 pbc="T T T"
Ba -5.2811 3.3683 7.4647
Ba -7.5754 2.0244 3.8602
Ba -0.8800 3.4030 4.6505
Ba -7.2682 3.7031 -0.4875
Ba -1.1872 1.7243 8.9982
Ba -3.1742 2.0591 1.0460
Sc -5.4154 5.4344 2.4315
Sc -3.0400 -0.0070 6.0792
C -4.1235 4.3008 4.4378
C -4.3319 1.1266 4.0728
O -3.4990 3.7528 5.4078
O -4.9289 0.8203 5.2015
O -5.4019 4.5923 4.5083
O -3.5265 4.6071 3.3092
O -4.9564 1.6746 3.1029
O -3.0535 0.8351 4.0024
F -0.8904 2.7400 2.1214
F -6.4416 6.3349 0.8376
F -2.0137 -0.9075 7.6731
F -7.5650 2.6874 6.3893
F -4.7715 4.2817 0.8109
F -1.3118 1.1644 6.1830
F -6.4712 6.9486 3.4121
F -7.1435 4.2630 2.3277
F -4.0992 6.9673 1.8954
F -4.3561 -1.5399 6.6153
F -8.2540 -0.0651 5.2778
F -1.5794 -0.0124 1.0099
F -1.9841 -1.5212 5.0985
F -3.6839 1.1457 7.6998


# 5
46
Lattice="0.0000 7.3488 7.3488 7.3488 0.0000 7.3488 7.3488 7.3488 0.0000" Properties=species:S:1:pos:R:3 comment="CeTi2Al20 PBE optimized geometry" final_energy_ev_per_atom=-4.460 formation_energy_ev_per_atom=-0.26 vol_a3_per_cell=793.7 pbc="T T T"
Ce 7.3488 7.3488 7.3488
Ce 11.0232 11.0232 11.0232
Ti 1.8372 5.5116 5.5116
Ti 5.5116 1.8372 5.5116
Ti 5.5116 5.5116 1.8372
Ti 1.8372 1.8372 1.8372
Al 7.3488 7.3488 12.6988
Al 7.3488 7.3488 1.9988
Al 7.3488 12.6988 7.3488
Al 7.3488 1.9988 7.3488
Al 12.6988 7.3488 7.3488
Al 1.9988 7.3488 7.3488
Al 3.6744 3.6744 5.6732
Al 3.6744 3.6744 1.6756
Al 3.6744 5.6732 3.6744
Al 3.6744 1.6756 3.6744
Al 5.6732 3.6744 3.6744
Al 1.6756 3.6744 3.6744
Al 4.4154 6.3827 6.3827
Al 10.2822 8.3149 6.3827
Al 10.2822 6.3827 8.3149
Al 4.4154 8.3149 8.3149
Al 6.3827 6.3827 4.4154
Al 8.3149 6.3827 10.2822
Al 6.3827 8.3149 10.2822
Al 8.3149 8.3149 4.4154
Al 6.3827 4.4154 6.3827
Al 6.3827 10.2822 8.3149
Al 8.3149 10.2822 6.3827
Al 8.3149 4.4154 8.3149
Al 13.9566 11.9893 11.9893
Al 8.0898 10.0571 11.9893
Al 8.0898 11.9893 10.0571
Al 13.9566 10.0571 10.0571
Al 11.9893 11.9893 13.9566
Al 10.0571 11.9893 8.0898
Al 11.9893 10.0571 8.0898
Al 10.0571 10.0571 13.9566
Al 11.9893 13.9566 11.9893
Al 11.9893 8.0898 10.0571
Al 10.0571 8.0898 11.9893
Al 10.0571 13.9566 10.0571
Al 9.1860 5.5116 5.5116
Al 5.5116 9.1860 5.5116
Al 5.5116 5.5116 9.1860
Al 9.1860 9.1860 9.1860


# 6
14
Lattice="7.9556 -0.1073 3.2421 -1.7952 -1.4627 8.2736 0.4340 -2.7673 -8.1221" Properties=species:S:1:pos:R:3 comment="La3Al11 PBE optimized geometry" final_energy_ev_per_atom=-4.401 formation_energy_ev_per_atom=-0.40 vol_a3_per_cell=296.0 pbc="T T T"
La 0.0000 0.0000 0.0000
La 4.2123 -1.0736 7.8741
La 1.9481 -0.4965 3.6415
Al 4.1948 -1.4373 -2.4400
Al 4.8797 -1.4016 4.7111
Al 1.7147 -2.9357 -1.3176
Al -0.7714 -1.9946 2.6210
Al 7.3658 -2.3427 0.7725
Al 5.1503 -1.5836 2.0612
Al 1.4440 -2.7537 1.3324
Al -0.3483 -2.0331 5.3485
Al 6.9427 -2.3042 -1.9549
Al 3.1470 -1.0037 0.2529
Al 3.4473 -3.3336 3.1406